[1]
A relaxed structure of Na14Sc4Zn4Si5S7O48. Source: Materials Project, functional PBE-GGA.

a b c (Å): 9.131 15.901 22.495
angles (deg): 90.92 90.10 90.10
Element x y z (fractional)
Na 0.000 0.000 0.000
Na 0.000 0.965 0.337
Na 0.008 0.661 0.668
Na 0.016 0.625 0.999
Na 0.035 0.976 0.666
Na 0.049 0.302 0.006
Na 0.071 0.641 0.336
Na 0.180 0.800 0.254
Na 0.182 0.147 0.580
Na 0.182 0.480 0.421
Na 0.183 0.801 0.746
Na 0.192 0.153 0.087
Na 0.195 0.484 0.917
Na 0.303 0.642 0.831
Na 0.318 0.308 0.504
Na 0.331 0.982 0.166
Na 0.357 0.654 0.173
Na 0.360 0.623 0.500
Na 0.374 0.320 0.832
Na 0.377 0.965 0.834
Na 0.496 0.463 0.338
Na 0.498 0.821 0.335
Na 0.511 0.126 0.999
Na 0.515 0.158 0.668
Na 0.540 0.479 0.662
Na 0.543 0.807 0.004
Na 0.568 0.145 0.336
Na 0.679 0.987 0.419
Na 0.682 0.651 0.584
Na 0.683 0.988 0.915
Na 0.686 0.640 0.086
Na 0.690 0.300 0.251
Na 0.692 0.298 0.749
Na 0.801 0.141 0.832
Na 0.824 0.803 0.506
Na 0.838 0.474 0.169
Na 0.861 0.134 0.500
Na 0.866 0.162 0.172
Na 0.874 0.824 0.823
Na 0.876 0.463 0.833
Na 0.881 0.491 0.498
Na 0.994 0.325 0.333
Sc 0.178 0.799 0.604
Sc 0.182 0.143 0.438
Sc 0.183 0.155 0.229
Sc 0.184 0.479 0.070
Sc 0.186 0.147 0.733
Sc 0.188 0.799 0.102
Sc 0.684 0.638 0.934
Sc 0.688 0.645 0.235
Sc 0.689 0.653 0.727
Sc 0.691 0.980 0.569
Sc 0.694 0.299 0.105
Sc 0.697 0.298 0.598
Zn 0.174 0.491 0.762
Zn 0.179 0.794 0.902
Zn 0.180 0.484 0.261
Zn 0.181 0.484 0.564
Zn 0.187 0.144 0.932
Zn 0.200 0.793 0.404
Zn 0.673 0.291 0.904
Zn 0.685 0.641 0.433
Zn 0.690 0.995 0.071
Zn 0.692 0.984 0.758
Zn 0.696 0.992 0.265
Zn 0.715 0.290 0.409
Si 0.029 0.660 0.497
Si 0.033 0.626 0.168
Si 0.042 0.332 0.168
Si 0.336 0.621 0.667
Si 0.339 0.658 0.000
Si 0.392 0.641 0.335
Si 0.480 0.141 0.835
Si 0.533 0.123 0.167
Si 0.535 0.157 0.500
Si 0.831 0.832 0.668
Si 0.838 0.127 0.670
Si 0.843 0.158 0.998
Si 0.890 0.141 0.333
Si 0.981 0.642 0.835
Si 0.988 0.314 0.499
S 0.040 0.292 0.835
S 0.042 0.954 0.499
S 0.042 0.994 0.836
S 0.331 0.994 0.333
S 0.332 0.330 0.668
S 0.332 0.953 0.000
S 0.335 0.291 0.335
S 0.390 0.975 0.669
S 0.392 0.312 0.000
S 0.480 0.812 0.500
S 0.483 0.475 0.168
S 0.539 0.790 0.836
S 0.541 0.494 0.833
S 0.542 0.455 0.500
S 0.542 0.830 0.166
S 0.830 0.455 0.999
S 0.831 0.496 0.334
S 0.832 0.792 0.334
S 0.887 0.473 0.668
S 0.891 0.811 0.000
S 0.984 0.973 0.167
O 0.014 0.826 0.663
O 0.019 0.129 0.675
O 0.024 0.151 0.993
O 0.058 0.721 0.556
O 0.062 0.566 0.108
O 0.066 0.234 0.783
O 0.067 0.047 0.890
O 0.068 0.389 0.227
O 0.072 0.903 0.445
O 0.074 0.051 0.173
O 0.081 0.729 0.836
O 0.082 0.555 0.833
O 0.083 0.225 0.494
O 0.087 0.901 0.160
O 0.099 0.393 0.509
O 0.101 0.234 0.170
O 0.102 0.041 0.496
O 0.102 0.255 0.889
O 0.103 0.915 0.553
O 0.104 0.036 0.782
O 0.104 0.701 0.439
O 0.107 0.568 0.503
O 0.109 0.374 0.107
O 0.113 0.719 0.160
O 0.114 0.375 0.827
O 0.116 0.590 0.226
O 0.116 0.911 0.840
O 0.257 0.911 0.339
O 0.258 0.567 0.007
O 0.259 0.715 0.660
O 0.260 0.587 0.728
O 0.262 0.374 0.330
O 0.262 0.699 0.942
O 0.266 0.913 0.054
O 0.267 0.039 0.998
O 0.270 0.033 0.278
O 0.270 0.367 0.615
O 0.271 0.249 0.388
O 0.274 0.241 0.673
O 0.290 0.556 0.329
O 0.290 0.904 0.659
O 0.292 0.385 0.005
O 0.293 0.729 0.336
O 0.297 0.054 0.674
O 0.298 0.902 0.945
O 0.300 0.380 0.724
O 0.302 0.234 0.997
O 0.306 0.050 0.385
O 0.308 0.235 0.282
O 0.311 0.721 0.058
O 0.313 0.559 0.609
O 0.354 0.127 0.175
O 0.356 0.152 0.494
O 0.372 0.155 0.777
O 0.376 0.825 0.162
O 0.377 0.801 0.840
O 0.378 0.127 0.895
O 0.380 0.463 0.504
O 0.380 0.481 0.830
O 0.380 0.802 0.551
O 0.385 0.491 0.117
O 0.397 0.825 0.443
O 0.400 0.462 0.223
O 0.473 0.962 0.724
O 0.476 0.325 0.944
O 0.488 0.990 0.618
O 0.493 0.303 0.051
O 0.493 0.981 0.329
O 0.495 0.302 0.339
O 0.495 0.958 0.004
O 0.497 0.324 0.665
O 0.497 0.628 0.393
O 0.498 0.656 0.275
O 0.515 0.626 0.675
O 0.520 0.657 0.995
O 0.547 0.063 0.107
O 0.560 0.219 0.559
O 0.565 0.734 0.784
O 0.566 0.550 0.886
O 0.570 0.733 0.497
O 0.572 0.881 0.221
O 0.573 0.404 0.445
O 0.576 0.554 0.173
O 0.579 0.229 0.836
O 0.581 0.885 0.506
O 0.583 0.055 0.830
O 0.583 0.404 0.158
O 0.598 0.742 0.171
O 0.601 0.749 0.890
O 0.603 0.533 0.780
O 0.604 0.867 0.112
O 0.605 0.414 0.554
O 0.608 0.197 0.440
O 0.610 0.541 0.498
O 0.611 0.873 0.832
O 0.612 0.215 0.160
O 0.614 0.085 0.225
O 0.615 0.411 0.841
O 0.620 0.066 0.507
O 0.755 0.413 0.336
O 0.756 0.218 0.663
O 0.758 0.875 0.326
O 0.761 0.090 0.729
O 0.763 0.875 0.608
O 0.764 0.197 0.940
O 0.768 0.063 0.003
O 0.769 0.417 0.053
O 0.770 0.539 0.280
O 0.770 0.755 0.388
O 0.771 0.543 0.996
O 0.772 0.734 0.670
O 0.783 0.402 0.662
O 0.789 0.226 0.334
O 0.790 0.054 0.332
O 0.792 0.883 0.008
O 0.797 0.552 0.675
O 0.799 0.405 0.945
O 0.800 0.732 0.995
O 0.804 0.887 0.729
O 0.806 0.548 0.388
O 0.806 0.735 0.282
O 0.810 0.065 0.611
O 0.812 0.218 0.057
O 0.848 0.652 0.493
O 0.853 0.629 0.173
O 0.859 0.325 0.162
O 0.873 0.654 0.778
O 0.875 0.293 0.553
O 0.876 0.630 0.894
O 0.877 0.961 0.503
O 0.878 0.304 0.838
O 0.880 0.983 0.832
O 0.893 0.984 0.113
O 0.895 0.337 0.439
O 0.895 0.958 0.220
O 0.975 0.458 0.723
O 0.978 0.827 0.945
O 0.979 0.487 0.616
O 0.989 0.798 0.051
O 0.992 0.485 0.330
O 0.994 0.805 0.337
O 0.995 0.463 0.003
O 0.996 0.126 0.391
O 0.997 0.152 0.275

Energy relative to the elements in eV/atom: -2.48
Uncorrected energy in eV for the cell shown: -1537.9
Size of the total moment in μB/atom: 0.000


[2]
A relaxed structure of Na3ZrScSi2SO12. Source: Materials Project, functional PBE-GGA.

a b c (Å): 9.171 9.171 22.886
angles (deg): 89.83 90.17 119.95
Element x y z (fractional)
O 0.538 0.843 0.476
O 0.173 0.978 0.198
O 0.199 0.186 0.089
O 0.510 0.843 0.081
O 0.180 0.975 0.913
O 0.025 0.820 0.413
O 0.307 0.476 0.754
O 0.112 0.641 0.362
O 0.844 0.510 0.747
O 0.359 0.888 0.862
O 0.524 0.693 0.254
O 0.190 0.026 0.588
O 0.814 0.801 0.589
O 0.857 0.359 0.921
O 0.980 0.187 0.300
O 0.843 0.540 0.027
O 0.146 0.687 0.467
O 0.964 0.153 0.589
O 0.032 0.187 0.912
O 0.692 0.154 0.746
O 0.974 0.810 0.088
O 0.359 0.487 0.079
O 0.514 0.369 0.422
O 0.180 0.702 0.755
O 0.177 0.176 0.414
O 0.209 0.021 0.313
O 0.532 0.853 0.756
O 0.979 0.791 0.813
O 0.480 0.301 0.745
O 0.646 0.124 0.146
O 0.510 0.873 0.360
O 0.871 0.510 0.142
O 0.824 0.823 0.914
O 0.876 0.354 0.646
O 0.647 0.520 0.634
O 0.846 0.308 0.246
O 0.693 0.555 0.528
O 0.490 0.129 0.642
O 0.480 0.353 0.134
O 0.866 0.520 0.423
O 0.699 0.520 0.245
O 0.022 0.827 0.698
O 0.847 0.036 0.089
O 0.355 0.494 0.364
O 0.460 0.157 0.527
O 0.824 0.796 0.309
O 0.204 0.176 0.809
O 0.490 0.156 0.247
O 0.157 0.462 0.976
O 0.147 0.468 0.256
O 0.177 0.206 0.694
O 0.813 0.020 0.800
O 0.688 0.160 0.031
O 0.794 0.823 0.194
O 0.840 0.312 0.531
O 0.813 0.968 0.412
O 0.157 0.490 0.581
O 0.513 0.641 0.579
O 0.026 0.221 0.195
O 0.631 0.486 0.922
O 0.480 0.134 0.923
O 0.445 0.307 0.028
O 0.779 0.974 0.695
O 0.147 0.635 0.078
O 0.506 0.645 0.864
O 0.312 0.457 0.479
O 0.543 0.688 0.979
O 0.641 0.143 0.421
O 0.365 0.853 0.578
O 0.313 0.854 0.967
O 0.298 0.820 0.255
O 0.127 0.490 0.860
S 0.039 0.666 0.416
S 0.668 0.627 0.583
S 0.706 0.999 0.749
S 0.373 0.332 0.083
S 0.001 0.294 0.249
S 0.334 0.961 0.916
Na 0.295 0.333 0.577
Na 0.334 0.039 0.410
Na 0.628 0.000 0.244
Na 0.688 0.670 0.412
Na 0.664 0.978 0.579
Na 0.667 0.705 0.077
Na 0.640 0.329 0.328
Na 0.671 0.360 0.828
Na 0.022 0.336 0.079
Na 0.997 0.645 0.245
Na 0.330 0.312 0.912
Na 0.005 0.026 0.495
Na 0.338 0.693 0.162
Na 0.961 0.666 0.910
Na 0.000 0.372 0.744
Na 0.307 0.662 0.662
Na 0.974 0.995 0.995
Na 0.355 0.003 0.745
Zr 0.685 0.337 0.981
Zr 0.663 0.315 0.481
Zr 0.018 0.004 0.648
Zr 0.996 0.982 0.148
Zr 0.352 0.671 0.314
Zr 0.329 0.648 0.814
Si 0.665 0.036 0.087
Si 0.965 0.625 0.085
Si 0.964 0.335 0.587
Si 0.299 0.291 0.752
Si 0.332 0.370 0.420
Si 0.709 0.701 0.252
Si 0.998 0.703 0.754
Si 0.042 0.368 0.919
Si 0.375 0.035 0.585
Si 0.630 0.668 0.920
Si 0.632 0.958 0.419
Si 0.297 0.002 0.254
Sc 0.672 0.340 0.685
Sc 0.006 0.007 0.352
Sc 0.660 0.328 0.185
Sc 0.993 0.994 0.852
Sc 0.327 0.661 0.518
Sc 0.339 0.673 0.018

Energy relative to the elements in eV/atom: -2.93
Uncorrected energy in eV for the cell shown: -861.0
Size of the total moment in μB/atom: 0.000


Number 1 is which compound?
Na14Sc4Zn4Si5S7O48